(1)
VASP calculation (GGA+U) on a relaxed structure of NaCdFeP2O8.

Output
Its space group is P1 (1). As for the energy above the lowest structure with this stoichiometry: 0.758 eV/atom. The calculation puts the energy with MP2020 corrections at -492.72 eV for the cell shown. The calculation puts the energy relative to the elements at -21.0 eV/f.u. The value obtained for the volume is 15.10 A^3/atom. The calculation puts the total magnetization at 4.67 μB per formula unit.

a = 8.405 Å, b = 9.036 Å, c = 16.681 Å
α = 75.06°, β = 84.65°, γ = 74.19°
Sites, in units of the cell vectors:
Na  0.000  0.000  0.000
Na  0.005  0.505  0.905
Na  0.366  0.009  0.543
Na  0.427  0.399  0.861
Na  0.699  0.760  0.459
Na  0.725  0.505  0.281
Cd  0.157  0.607  0.312
Cd  0.204  0.845  0.832
Cd  0.427  0.369  0.208
Cd  0.808  0.214  0.664
Cd  0.809  0.610  0.067
Cd  0.954  0.571  0.669
Fe  0.117  0.005  0.349
Fe  0.297  0.619  0.531
Fe  0.494  0.920  0.962
Fe  0.529  0.049  0.795
Fe  0.655  0.353  0.051
Fe  0.883  0.190  0.445
P  0.027  0.376  0.489
P  0.047  0.928  0.564
P  0.069  0.637  0.166
P  0.101  0.242  0.800
P  0.300  0.624  0.014
P  0.332  0.263  0.652
P  0.409  0.808  0.315
P  0.562  0.178  0.376
P  0.571  0.636  0.646
P  0.624  0.054  0.106
P  0.825  0.066  0.235
P  0.908  0.838  0.807
O  0.003  0.534  0.425
O  0.063  0.748  0.568
O  0.083  0.096  0.866
O  0.125  0.986  0.474
O  0.132  0.956  0.632
O  0.156  0.650  0.957
O  0.168  0.360  0.827
O  0.196  0.268  0.507
O  0.241  0.548  0.110
O  0.243  0.441  0.637
O  0.250  0.165  0.734
O  0.264  0.759  0.379
O  0.332  0.990  0.287
O  0.341  0.779  0.015
O  0.375  0.658  0.770
O  0.393  0.278  0.342
O  0.397  0.747  0.232
O  0.428  0.713  0.583
O  0.433  0.571  0.270
O  0.447  0.881  0.856
O  0.449  0.484  0.496
O  0.449  0.496  0.991
O  0.496  0.211  0.117
O  0.497  0.726  0.722
O  0.506  0.125  0.891
O  0.516  0.198  0.677
O  0.549  0.942  0.076
O  0.562  0.025  0.440
O  0.581  0.744  0.347
O  0.613  0.460  0.681
O  0.640  0.452  0.133
O  0.659  0.280  0.404
O  0.663  0.139  0.291
O  0.714  0.709  0.610
O  0.715  0.964  0.192
O  0.743  0.821  0.959
O  0.746  0.127  0.041
O  0.773  0.995  0.765
O  0.800  0.749  0.888
O  0.820  0.422  0.996
O  0.864  0.040  0.556
O  0.900  0.389  0.561
O  0.934  0.699  0.766
O  0.945  0.931  0.300
O  0.950  0.320  0.743
O  0.956  0.522  0.180
O  0.994  0.793  0.106
O  0.995  0.214  0.343

=====

(2)
VASP calculation (GGA+U) on a relaxed structure of Cd5Fe2P8O28.

Output
Its space group is C222_1 (20). The calculation puts the energy with MP2020 corrections at -610.15 eV for the cell shown. The calculation puts the energy relative to the elements at -101.7 eV/f.u. The value obtained for the volume is 12.82 A^3/atom. The calculation puts the total magnetization at 10.00 μB per formula unit.

a = 6.735 Å, b = 6.735 Å, c = 24.490 Å
α = 90.00°, β = 90.00°, γ = 97.20°
Sites, in units of the cell vectors:
Cd  0.165  0.463  0.864
Cd  0.193  0.193  0.500
Cd  0.204  0.796  0.750
Cd  0.418  0.418  0.000
Cd  0.463  0.165  0.136
Cd  0.537  0.835  0.636
Cd  0.582  0.582  0.500
Cd  0.796  0.204  0.250
Cd  0.807  0.807  0.000
Cd  0.835  0.537  0.364
Fe  0.081  0.763  0.122
Fe  0.237  0.919  0.378
Fe  0.763  0.081  0.878
Fe  0.919  0.237  0.622
P  0.021  0.751  0.615
P  0.104  0.697  0.495
P  0.197  0.296  0.731
P  0.249  0.979  0.885
P  0.296  0.197  0.269
P  0.303  0.896  0.005
P  0.330  0.425  0.374
P  0.425  0.330  0.626
P  0.575  0.670  0.126
P  0.670  0.575  0.874
P  0.697  0.104  0.505
P  0.704  0.803  0.769
P  0.751  0.021  0.385
P  0.803  0.704  0.231
P  0.896  0.303  0.995
P  0.979  0.249  0.115
O  0.003  0.252  0.697
O  0.077  0.466  0.114
O  0.094  0.126  0.875
O  0.102  0.391  0.976
O  0.103  0.804  0.553
O  0.119  0.267  0.241
O  0.119  0.805  0.040
O  0.126  0.094  0.125
O  0.187  0.468  0.771
O  0.190  0.593  0.372
O  0.195  0.881  0.460
O  0.196  0.897  0.947
O  0.205  0.792  0.651
O  0.208  0.795  0.849
O  0.224  0.228  0.400
O  0.228  0.224  0.600
O  0.245  0.535  0.498
O  0.252  0.003  0.303
O  0.267  0.119  0.759
O  0.371  0.386  0.687
O  0.386  0.371  0.313
O  0.391  0.102  0.024
O  0.407  0.810  0.128
O  0.465  0.755  0.002
O  0.466  0.077  0.886
O  0.468  0.187  0.229
O  0.473  0.499  0.902
O  0.499  0.473  0.098
O  0.501  0.527  0.598
O  0.527  0.501  0.402
O  0.532  0.813  0.729
O  0.534  0.923  0.386
O  0.535  0.245  0.502
O  0.593  0.190  0.628
O  0.609  0.898  0.524
O  0.614  0.629  0.813
O  0.629  0.614  0.187
O  0.733  0.881  0.259
O  0.748  0.997  0.803
O  0.755  0.465  0.998
O  0.772  0.776  0.100
O  0.776  0.772  0.900
O  0.792  0.205  0.349
O  0.795  0.208  0.151
O  0.804  0.103  0.447
O  0.805  0.119  0.960
O  0.810  0.407  0.872
O  0.813  0.532  0.271
O  0.874  0.906  0.625
O  0.881  0.195  0.540
O  0.881  0.733  0.741
O  0.897  0.196  0.053
O  0.898  0.609  0.476
O  0.906  0.874  0.375
O  0.923  0.534  0.614
O  0.997  0.748  0.197

=====

(3)
VASP calculation (GGA+U) on a relaxed structure of CdFeSnP3O12.

Output
Its space group is R3c (161). The calculation puts the energy with MP2020 corrections at -263.88 eV for the cell shown. The calculation puts the energy relative to the elements at -42.9 eV/f.u. The value obtained for the volume is 13.46 A^3/atom. The calculation puts the total magnetization at 5.00 μB per formula unit.

a = 8.903 Å, b = 8.903 Å, c = 8.903 Å
α = 58.73°, β = 58.73°, γ = 58.73°
Sites, in units of the cell vectors:
Cd  0.000  0.000  0.000
Cd  0.500  0.500  0.500
Fe  0.355  0.355  0.355
Fe  0.855  0.855  0.855
Sn  0.149  0.149  0.149
Sn  0.649  0.649  0.649
P  0.048  0.463  0.752
P  0.252  0.963  0.548
P  0.463  0.752  0.048
P  0.548  0.252  0.963
P  0.752  0.048  0.463
P  0.963  0.548  0.252
O  0.008  0.621  0.804
O  0.064  0.272  0.920
O  0.086  0.942  0.735
O  0.121  0.508  0.304
O  0.206  0.988  0.389
O  0.235  0.442  0.586
O  0.272  0.920  0.064
O  0.304  0.121  0.508
O  0.389  0.206  0.988
O  0.420  0.772  0.564
O  0.442  0.586  0.235
O  0.488  0.706  0.889
O  0.508  0.304  0.121
O  0.564  0.420  0.772
O  0.586  0.235  0.442
O  0.621  0.804  0.008
O  0.706  0.889  0.488
O  0.735  0.086  0.942
O  0.772  0.564  0.420
O  0.804  0.008  0.621
O  0.889  0.488  0.706
O  0.920  0.064  0.272
O  0.942  0.735  0.086
O  0.988  0.389  0.206

=====

(4)
VASP calculation (GGA+U) on a relaxed structure of V2Cd3Ge3O12.

Output
Its space group is Ia-3d (230). The calculation puts the energy with MP2020 corrections at -537.32 eV for the cell shown. The calculation puts the energy relative to the elements at -40.1 eV/f.u. The value obtained for the volume is 12.25 A^3/atom. The calculation puts the total magnetization at 4.00 μB per formula unit.

a = 10.839 Å, b = 10.839 Å, c = 10.839 Å
α = 109.47°, β = 109.47°, γ = 109.47°
Sites, in units of the cell vectors:
V  0.000  0.000  0.000
V  0.000  0.000  0.500
V  0.000  0.500  0.000
V  0.000  0.500  0.500
V  0.500  0.000  0.000
V  0.500  0.000  0.500
V  0.500  0.500  0.000
V  0.500  0.500  0.500
Cd  0.125  0.250  0.375
Cd  0.125  0.375  0.750
Cd  0.250  0.375  0.125
Cd  0.250  0.875  0.625
Cd  0.375  0.125  0.250
Cd  0.375  0.750  0.125
Cd  0.625  0.250  0.875
Cd  0.625  0.875  0.750
Cd  0.750  0.125  0.375
Cd  0.750  0.625  0.875
Cd  0.875  0.625  0.250
Cd  0.875  0.750  0.625
Ge  0.125  0.750  0.875
Ge  0.125  0.875  0.250
Ge  0.250  0.125  0.875
Ge  0.250  0.625  0.375
Ge  0.375  0.250  0.625
Ge  0.375  0.625  0.750
Ge  0.625  0.375  0.250
Ge  0.625  0.750  0.375
Ge  0.750  0.375  0.625
Ge  0.750  0.875  0.125
Ge  0.875  0.125  0.750
Ge  0.875  0.250  0.125
O  0.016  0.201  0.120
O  0.016  0.315  0.896
O  0.081  0.701  0.685
O  0.081  0.880  0.396
O  0.104  0.620  0.419
O  0.104  0.984  0.685
O  0.120  0.016  0.201
O  0.120  0.604  0.919
O  0.185  0.201  0.581
O  0.185  0.484  0.604
O  0.201  0.120  0.016
O  0.201  0.581  0.185
O  0.299  0.315  0.919
O  0.299  0.484  0.380
O  0.315  0.896  0.016
O  0.315  0.919  0.299
O  0.380  0.299  0.484
O  0.380  0.581  0.896
O  0.396  0.081  0.880
O  0.396  0.815  0.516
O  0.419  0.104  0.620
O  0.419  0.815  0.799
O  0.484  0.380  0.299
O  0.484  0.604  0.185
O  0.516  0.396  0.815
O  0.516  0.620  0.701
O  0.581  0.185  0.201
O  0.581  0.896  0.380
O  0.604  0.185  0.484
O  0.604  0.919  0.120
O  0.620  0.419  0.104
O  0.620  0.701  0.516
O  0.685  0.081  0.701
O  0.685  0.104  0.984
O  0.701  0.516  0.620
O  0.701  0.685  0.081
O  0.799  0.419  0.815
O  0.799  0.880  0.984
O  0.815  0.516  0.396
O  0.815  0.799  0.419
O  0.880  0.396  0.081
O  0.880  0.984  0.799
O  0.896  0.016  0.315
O  0.896  0.380  0.581
O  0.919  0.120  0.604
O  0.919  0.299  0.315
O  0.984  0.685  0.104
O  0.984  0.799  0.880